(1)
Computed, not measured: an optimized crystal structure of CaH2 at the PBE-GGA level of DFT.

The total energy comes out at -10.29 eV per formula unit.

abc: 5.361 3.788 6.683
angles: 90.00 90.00 90.00
Space group Pnma (No. 62)
Inequivalent atoms, fractional coordinates:
Ca 0.248 0.250 0.089 [4 per cell]
H 0.002 0.750 0.256 [4 per cell]
H 0.240 0.750 0.919 [4 per cell]

(2)
Computed, not measured: an optimized crystal structure of CaH2 at the PBE-GGA level of DFT.

The total energy comes out at -10.46 eV per formula unit.

abc: 5.901 3.572 6.771
angles: 90.00 90.00 90.00
Space group Pnma (No. 62)
Inequivalent atoms, fractional coordinates:
Ca 0.239 0.250 0.110 [4 per cell]
H 0.026 0.750 0.323 [4 per cell]
H 0.144 0.750 0.928 [4 per cell]